# 1
SrCu2GeS4 (PBE, optimized geometry); formation enthalpy at 0 K = -1.044 eV/atom; largest piezoelectric modulus = 0.12 C/m2
1.0
6.1823 0.0000 0.0000
-3.0911 5.3540 0.0000
0.0000 0.0000 15.3042
Sr Cu Ge S
3 6 3 12
Cartesian
-1.7131 2.9672 5.1014 Sr
1.3780 2.3868 0.0000 Sr
3.4262 0.0000 10.2028 Sr
-1.5386 3.4921 1.3572 Cu
0.8361 2.2755 11.5600 Cu
1.5526 1.8619 3.7442 Cu
0.7024 4.9404 6.4586 Cu
3.7936 0.4136 13.9470 Cu
3.9273 3.0785 8.8456 Cu
-2.2035 3.8167 12.7535 Ge
0.8876 1.5374 7.6521 Ge
4.4071 0.0000 2.5507 Ge
-1.3358 2.7214 10.9919 S
-0.4087 1.8047 2.5251 S
-1.3239 4.8056 7.6265 S
1.7673 0.5484 12.7791 S
-0.0664 5.1502 0.7891 S
1.4023 2.8364 5.8905 S
3.0247 0.2038 4.3123 S
1.7553 2.6326 9.4137 S
1.7325 4.0977 12.7278 S
2.6825 3.5493 2.5763 S
4.8237 1.2563 7.6777 S
4.4934 2.5176 14.5151 S

---

# 2
SrCu2GeS4 (PBE, optimized geometry); formation enthalpy at 0 K = -0.999 eV/atom
1.0
-3.1601 3.1601 4.1380
3.1601 -3.1601 4.1380
3.1601 3.1601 -4.1380
Sr Cu Ge S
1 2 1 4
Cartesian
0.0000 0.0000 0.0000 Sr
3.1601 0.0000 2.0690 Cu
0.0000 3.1601 2.0690 Cu
0.0000 0.0000 4.1380 Ge
1.2638 -1.2638 2.7940 S
1.8963 1.8963 1.3440 S
-1.2638 1.2638 2.7940 S
1.2638 1.2638 5.4819 S

---

# 3
Cu6GeWS8 (PBE, optimized geometry); formation enthalpy at 0 K = -0.642 eV/atom
1.0
7.5703 0.0000 0.0000
-3.7852 6.5561 0.0000
0.0000 0.0000 12.4495
Cu Ge W S
12 2 2 16
Cartesian
-1.8527 3.3011 0.0000 Cu
0.0000 2.1127 9.3507 Cu
-1.9555 5.4997 9.3507 Cu
1.8296 1.0563 3.1260 Cu
1.8527 3.3011 0.0000 Cu
0.0000 6.5100 0.0000 Cu
3.7852 0.0460 6.2247 Cu
1.9325 3.2550 6.2247 Cu
1.9555 5.4997 9.3507 Cu
5.7407 1.0563 3.1260 Cu
3.7851 4.4434 3.1260 Cu
5.6378 3.2550 6.2247 Cu
0.0000 0.0000 6.1995 Ge
0.0000 0.0000 12.4243 Ge
0.0000 4.3707 7.8141 W
3.7852 2.1854 1.5894 W
0.0000 0.0000 2.2467 S
0.0000 0.0000 8.4714 S
-1.8551 3.2997 8.5587 S
0.0000 2.1606 11.6511 S
-1.9141 5.4758 11.6511 S
1.8711 1.0803 5.4263 S
0.0000 4.3707 5.5475 S
1.8551 3.2997 8.5587 S
0.0000 6.5128 8.5587 S
3.7852 0.0433 2.3340 S
1.9300 3.2564 2.3340 S
3.7852 2.1854 11.7722 S
1.9141 5.4758 11.6511 S
5.6992 1.0803 5.4263 S
3.7851 4.3955 5.4263 S
5.6403 3.2564 2.3340 S

---

# 4
ZnCu2GeS4 (PBE, optimized geometry); formation enthalpy at 0 K = -0.696 eV/atom; energy above the most stable polymorph in this dataset = 3 meV/atom
1.0
7.4699 0.0000 0.0000
0.0000 6.5382 0.0000
0.0000 0.0000 6.2088
Zn Cu Ge S
2 4 2 8
Cartesian
0.0000 1.0010 0.0000 Zn
3.7349 5.5372 3.1044 Zn
1.8501 2.1415 3.1584 Cu
1.8848 4.3968 0.0540 Cu
5.5850 4.3968 0.0540 Cu
5.6198 2.1415 3.1584 Cu
0.0000 5.4229 3.1081 Ge
3.7349 1.1153 0.0037 Ge
0.0000 1.0163 2.3600 S
0.0000 5.3589 5.3787 S
1.8331 4.3179 2.3471 S
1.9019 2.2203 5.4515 S
3.7349 1.1793 2.2743 S
3.7349 5.5219 5.4644 S
5.5680 2.2203 5.4515 S
5.6368 4.3179 2.3471 S

---

# 5
ZnCu2GeS4 (PBE, optimized geometry); formation enthalpy at 0 K = -0.699 eV/atom; largest piezoelectric modulus = 0.05 C/m2; energy above the most stable polymorph in this dataset = 0 meV/atom
1.0
-2.6669 2.6669 5.3542
2.6669 -2.6669 5.3542
2.6669 2.6669 -5.3542
Zn Cu Ge S
1 2 1 4
Cartesian
0.0000 0.0000 0.0000 Zn
2.6669 0.0000 2.6771 Cu
0.0000 2.6669 2.6771 Cu
0.0000 0.0000 5.3542 Ge
1.3735 1.3735 -1.3675 S
1.2933 -1.2933 6.7217 S
1.2933 1.2933 3.9868 S
-1.2933 1.2933 6.7217 S

---

# 6
Sc3Cu4Ge4 (PBE, optimized geometry); formation enthalpy at 0 K = -0.567 eV/atom
1.0
-2.0206 3.2683 6.6939
2.0206 -3.2683 6.6939
2.0206 3.2683 -6.6939
Sc Cu Ge
3 4 4
Cartesian
0.0000 0.0000 0.0000 Sc
2.0206 0.0000 4.9920 Sc
0.0000 3.2683 1.7019 Sc
2.0206 1.2669 -2.3014 Cu
2.0206 1.2669 2.3014 Cu
0.0000 2.0014 4.3925 Cu
0.0000 2.0014 8.9953 Cu
0.0000 0.0000 2.8909 Ge
2.0206 2.0043 0.0000 Ge
0.0000 1.2640 6.6939 Ge
0.0000 0.0000 10.4970 Ge

---

# 7
ScCuGe (PBE, optimized geometry); formation enthalpy at 0 K = 0.118 eV/atom
1.0
6.8786 0.0000 0.0000
-3.4393 5.9570 0.0000
0.0000 0.0000 4.1981
Sc Cu Ge
3 3 3
Cartesian
0.0000 0.0000 0.0000 Sc
0.0000 3.9714 2.0991 Sc
3.4393 1.9857 2.0991 Sc
-2.0388 3.5314 0.0000 Cu
1.4005 2.4257 0.0000 Cu
4.0777 0.0000 0.0000 Cu
-0.8467 1.4666 2.0991 Ge
1.6935 0.0000 2.0991 Ge
2.5926 4.4905 2.0991 Ge

---

# 8
ScCuGe (PBE, optimized geometry); formation enthalpy at 0 K = -0.486 eV/atom
1.0
6.6495 0.0000 0.0000
-3.3247 5.7586 0.0000
0.0000 0.0000 3.9142
Sc Cu Ge
3 3 3
Cartesian
-1.9667 3.4065 0.0000 Sc
1.3580 2.3521 0.0000 Sc
3.9335 0.0000 0.0000 Sc
0.0000 0.0000 0.0000 Cu
0.0000 3.8391 1.9571 Cu
3.3247 1.9195 1.9571 Cu
-0.8804 1.5248 1.9571 Ge
1.7607 0.0000 1.9571 Ge
2.4444 4.2338 1.9571 Ge

---

# 9
ScCuGe (PBE, optimized geometry); formation enthalpy at 0 K = -0.659 eV/atom
1.0
6.5606 0.0000 0.0000
-3.2803 5.6816 0.0000
0.0000 0.0000 3.9978
Sc Cu Ge
3 3 3
Cartesian
-1.8759 3.2492 0.0000 Sc
1.4044 2.4324 0.0000 Sc
3.7518 0.0000 0.0000 Sc
-0.7966 1.3798 1.9989 Cu
1.5933 0.0000 1.9989 Cu
2.4836 4.3018 1.9989 Cu
0.0000 0.0000 0.0000 Ge
0.0000 3.7877 1.9989 Ge
3.2803 1.8939 1.9989 Ge

---

> What is the formation enthalpy at 0 K in the fourth record?

-0.696 eV/atom